4
Lattice="0.000 3.688 3.688 3.688 0.000 3.688 3.688 3.688 0.000" Properties=species:S:1:pos:R:3 comment="PuInHg2 (PBE, relaxed)" spacegroup="No. 225" delta_e_f_ev_per_atom=-0.179 pbc="T T T"
Pu 0.000 0.000 0.000
In 3.688 3.688 3.688
Hg 1.844 1.844 1.844
Hg 5.531 5.531 5.531

***

20
Lattice="7.770 4.486 3.615 -7.770 4.486 3.615 0.000 -8.972 3.615" Properties=species:S:1:pos:R:3 comment="Er7FeI12 (PBE, relaxed)" spacegroup="No. 148" delta_e_f_ev_per_atom=-1.389 pbc="T T T"
Er 0.000 0.000 0.000
Er -1.525 -1.498 3.973
Er -0.535 2.070 3.973
Er 2.060 -0.572 3.973
Er -2.060 0.572 6.873
Er 0.535 -2.070 6.873
Er 1.525 1.498 6.873
Fe 0.000 0.000 5.423
I -2.371 0.676 1.759
I 0.600 -2.391 1.759
I -4.260 -1.072 5.332
I -1.201 -4.225 5.513
I 1.771 1.715 1.759
I -3.059 3.153 5.513
I 3.059 -3.153 5.332
I -1.771 -1.715 9.086
I 1.201 4.225 5.332
I 4.260 1.072 5.513
I -0.600 2.391 9.086
I 2.371 -0.676 9.086

***

140
Lattice="20.298 0.000 0.000 0.000 14.923 0.000 0.000 0.000 7.428" Properties=species:S:1:pos:R:3 comment="Rb4Te8O23 (PBE, relaxed)" spacegroup="No. 33" delta_e_f_ev_per_atom=-1.637 pbc="T T T"
Rb 1.276 3.624 7.425
Rb 1.452 11.180 0.000
Rb 3.547 7.419 7.419
Rb 3.787 14.837 7.424
Rb 6.362 7.375 3.710
Rb 6.601 14.881 3.705
Rb 8.696 3.718 3.714
Rb 8.873 11.086 3.711
Rb 11.425 3.837 7.425
Rb 11.601 11.205 0.000
Rb 13.696 0.042 7.419
Rb 13.936 7.548 7.424
Rb 16.511 0.086 3.710
Rb 16.750 7.503 3.705
Rb 18.845 3.743 3.714
Rb 19.022 11.299 3.711
Te 20.296 0.000 1.852
Te 0.001 14.923 5.566
Te 0.002 7.461 1.841
Te 20.296 7.462 5.555
Te 2.190 1.901 3.707
Te 2.488 5.547 3.701
Te 2.607 9.224 3.703
Te 2.750 13.084 3.707
Te 4.951 3.562 1.849
Te 4.949 3.567 5.560
Te 5.200 11.029 1.846
Te 5.198 11.024 5.563
Te 7.399 5.622 7.421
Te 7.542 1.763 7.417
Te 7.661 13.008 7.415
Te 7.959 9.362 7.421
Te 10.150 0.000 1.841
Te 10.147 14.922 5.555
Te 10.148 7.461 1.852
Te 10.150 7.462 5.566
Te 12.339 5.561 3.707
Te 12.637 1.915 3.701
Te 12.756 13.160 3.703
Te 12.899 9.301 3.707
Te 15.099 3.899 1.849
Te 15.098 3.894 5.560
Te 15.349 11.355 1.846
Te 15.347 11.361 5.563
Te 17.548 1.839 7.421
Te 17.691 5.699 7.417
Te 17.810 9.376 7.415
Te 18.108 13.022 7.421
O 0.228 6.816 7.412
O 0.640 0.389 7.423
O 0.651 1.784 2.322
O 0.655 1.784 5.097
O 1.197 5.906 2.284
O 1.191 5.906 5.112
O 1.496 8.617 1.708
O 1.495 8.615 5.692
O 1.633 11.601 3.702
O 1.645 3.767 3.701
O 1.767 14.199 2.219
O 1.769 14.196 5.200
O 3.267 7.338 3.698
O 3.440 2.391 1.967
O 3.438 2.397 5.444
O 3.732 12.241 5.506
O 3.738 12.251 1.905
O 3.794 5.152 2.306
O 3.790 5.155 5.103
O 4.087 9.481 5.078
O 4.086 9.488 2.330
O 4.418 4.042 7.420
O 4.687 10.580 7.419
O 5.462 3.118 3.705
O 5.730 11.503 3.706
O 6.062 2.019 1.364
O 6.063 2.027 6.044
O 6.359 12.617 1.389
O 6.355 12.613 6.020
O 6.417 4.779 1.792
O 6.411 4.790 5.618
O 6.709 9.852 5.681
O 6.711 9.858 1.730
O 6.882 14.799 7.412
O 8.380 6.735 1.486
O 8.382 6.738 5.933
O 8.504 11.228 7.415
O 8.516 4.139 7.416
O 8.654 1.154 1.978
O 8.653 1.155 5.422
O 8.958 13.368 1.398
O 8.952 13.368 5.998
O 9.509 7.850 3.709
O 9.494 9.245 1.383
O 9.498 9.245 6.036
O 9.920 14.277 3.698
O 10.377 0.646 7.412
O 10.800 5.678 2.322
O 10.803 5.678 5.097
O 10.789 7.073 7.423
O 11.345 1.555 2.284
O 11.340 1.555 5.112
O 11.645 13.768 1.708
O 11.644 13.769 5.692
O 11.782 10.784 3.702
O 11.794 3.695 3.701
O 11.916 8.185 2.219
O 11.918 8.188 5.200
O 13.416 0.123 3.698
O 13.586 5.065 5.444
O 13.589 5.071 1.967
O 13.887 10.133 1.905
O 13.881 10.143 5.506
O 13.943 2.310 2.306
O 13.939 2.306 5.103
O 14.235 12.896 2.330
O 14.235 12.903 5.078
O 14.567 3.419 7.420
O 14.836 11.804 7.419
O 15.611 4.343 3.705
O 15.879 10.881 3.706
O 16.212 5.435 6.044
O 16.211 5.442 1.364
O 16.508 9.767 1.389
O 16.504 9.771 6.020
O 16.560 2.672 5.618
O 16.566 2.682 1.792
O 16.860 12.526 1.730
O 16.857 12.532 5.681
O 17.031 7.585 7.412
O 18.529 0.726 1.486
O 18.531 0.724 5.933
O 18.652 11.156 7.415
O 18.664 3.322 7.416
O 18.803 6.308 1.978
O 18.801 6.306 5.422
O 19.107 9.017 1.398
O 19.101 9.017 5.998
O 19.643 13.139 1.383
O 19.647 13.139 6.036
O 19.658 14.534 3.709
O 20.069 8.107 3.698

***

8
Lattice="6.551 0.000 0.000 0.000 3.684 0.000 -2.914 0.000 6.035" Properties=species:S:1:pos:R:3 comment="BiAuO2 (PBE, relaxed)" spacegroup="No. 11" delta_e_f_ev_per_atom=-1.118 pbc="T T T"
Bi -0.357 0.921 1.602
Bi 3.994 2.763 4.432
Au 0.743 0.921 4.868
Au 2.894 2.763 1.167
O -1.183 0.921 4.157
O 0.936 2.763 0.560
O 2.700 0.921 5.475
O 4.819 2.763 1.877

***

64
Lattice="16.476 0.000 0.000 0.000 4.022 0.000 0.000 0.000 23.752" Properties=species:S:1:pos:R:3 comment="Eu3Sb4S9 (PBE, relaxed)" spacegroup="No. 62" delta_e_f_ev_per_atom=-1.249 pbc="T T T"
Eu 0.869 1.006 5.547
Eu 2.025 1.006 1.275
Eu 2.926 3.017 16.099
Eu 5.312 1.006 4.223
Eu 6.213 3.017 13.151
Eu 7.369 3.017 17.422
Eu 9.107 1.006 6.329
Eu 10.263 1.006 10.601
Eu 11.163 3.017 19.528
Eu 13.550 1.006 7.653
Eu 14.451 3.017 22.476
Eu 15.607 3.017 18.205
Sb 0.446 3.017 9.397
Sb 1.493 1.006 21.207
Sb 2.728 1.006 12.018
Sb 3.977 3.017 7.737
Sb 4.261 1.006 19.612
Sb 5.510 3.017 0.142
Sb 6.745 3.017 9.332
Sb 7.792 1.006 21.272
Sb 8.684 3.017 2.479
Sb 9.731 1.006 14.420
Sb 10.966 1.006 23.609
Sb 12.215 3.017 4.139
Sb 12.499 1.006 16.015
Sb 13.748 3.017 11.734
Sb 14.982 3.017 2.544
Sb 16.030 1.006 14.355
S 0.703 1.006 16.553
S 0.875 3.017 3.261
S 1.004 3.017 13.464
S 1.004 3.017 22.915
S 2.205 3.017 19.111
S 2.243 1.006 8.240
S 3.298 3.017 5.367
S 4.027 3.017 11.037
S 4.110 1.006 14.070
S 4.128 3.017 2.195
S 4.211 1.006 22.913
S 4.940 1.006 17.242
S 5.995 3.017 20.115
S 6.033 1.006 7.235
S 7.234 1.006 1.588
S 7.233 1.006 11.040
S 7.363 1.006 15.137
S 7.535 3.017 4.678
S 8.941 1.006 19.074
S 9.112 3.017 8.615
S 9.242 3.017 12.712
S 9.242 3.017 22.163
S 10.443 3.017 16.517
S 10.481 1.006 3.636
S 11.536 3.017 6.509
S 12.265 3.017 0.839
S 12.348 1.006 21.557
S 12.365 3.017 9.681
S 12.449 1.006 12.715
S 13.178 1.006 18.385
S 14.233 3.017 15.512
S 14.270 1.006 4.641
S 15.471 1.006 0.836
S 15.472 1.006 10.288
S 15.601 1.006 20.490
S 15.773 3.017 7.198

***

64
Lattice="8.548 0.000 0.000 0.000 16.272 0.000 0.000 0.000 5.174" Properties=species:S:1:pos:R:3 comment="RbLi6B2O6F (PBE, relaxed)" spacegroup="No. 62" delta_e_f_ev_per_atom=-2.590 pbc="T T T"
Rb 1.060 4.068 0.613
Rb 3.214 12.204 3.200
Rb 5.334 4.068 1.974
Rb 7.488 12.204 4.560
Li 0.619 0.942 4.465
Li 0.619 7.194 4.465
Li 1.700 0.611 1.535
Li 1.700 7.525 1.535
Li 1.816 10.398 0.616
Li 1.816 14.010 0.616
Li 2.458 2.262 3.203
Li 2.458 5.874 3.203
Li 2.574 8.747 4.122
Li 2.574 15.661 4.122
Li 3.655 9.078 1.878
Li 3.655 15.330 1.878
Li 4.893 0.942 3.295
Li 4.893 7.194 3.295
Li 5.974 0.611 1.052
Li 5.974 7.525 1.052
Li 6.090 10.398 1.971
Li 6.090 14.010 1.971
Li 6.732 2.262 4.557
Li 6.732 5.874 4.557
Li 6.848 8.747 3.639
Li 6.848 15.661 3.639
Li 7.929 9.078 0.708
Li 7.929 15.330 0.708
B 0.595 9.557 3.070
B 0.595 14.851 3.070
B 3.679 1.421 0.483
B 3.679 6.715 0.483
B 4.869 9.557 4.690
B 4.869 14.851 4.690
B 7.953 1.421 2.103
B 7.953 6.715 2.103
O 0.599 1.733 2.709
O 0.599 6.403 2.709
O 0.655 9.301 4.452
O 0.655 15.107 4.452
O 1.781 9.396 2.343
O 1.781 15.012 2.343
O 2.493 1.260 4.930
O 2.493 6.876 4.930
O 3.619 1.165 1.866
O 3.619 6.971 1.866
O 3.675 9.869 0.122
O 3.675 14.539 0.122
O 4.873 1.733 5.052
O 4.873 6.403 5.052
O 4.929 9.301 3.308
O 4.929 15.107 3.308
O 6.055 9.396 0.244
O 6.055 15.012 0.244
O 6.767 1.260 2.831
O 6.767 6.876 2.831
O 7.893 1.165 0.721
O 7.893 6.971 0.721
O 7.949 9.869 2.465
O 7.949 14.539 2.465
F 1.538 12.204 0.466
F 2.736 4.068 3.053
F 5.812 12.204 2.120
F 7.010 4.068 4.707

***

9
Lattice="3.352 0.000 0.000 -1.676 2.903 0.000 0.000 0.000 31.007" Properties=species:S:1:pos:R:3 comment="Te2Mo2WSe2S2 (PBE, relaxed)" relative_energy_mev_per_atom=49 spacegroup="No. 156" delta_e_f_ev_per_atom=-0.597 pbc="T T T"
Te 0.000 0.000 0.000
Te 0.000 0.000 3.810
Mo 0.000 0.000 25.736
Mo 1.676 0.968 18.565
W 1.676 0.968 1.906
Se 1.676 0.968 24.070
Se 1.676 0.968 27.402
S 0.000 0.000 17.050
S 0.000 0.000 20.081

***

3
Lattice="0.000 3.261 3.261 3.261 0.000 3.261 3.261 3.261 0.000" Properties=species:S:1:pos:R:3 comment="MgSnAu (PBE, relaxed)" spacegroup="No. 216" delta_e_f_ev_per_atom=-0.444 pbc="T T T"
Mg 0.000 0.000 0.000
Sn 3.261 3.261 3.261
Au 1.631 1.631 1.631

***

Question: Which formula does entry 6 have?
Answer: RbLi6B2O6F